[1]
Below is a relaxed structure of Li34Sb8S7, with properties calculated at the GGA-PBE level. Values from VASP.

Output
Magnetization: 0.00 μB per atom
E_tot: -0.2522 Ry per atom
Energy of formation: -0.91 eV/atom
Energy with MP2020 corrections: -3.504 eV per atom
Symmetry: No. 87

Cell and atoms, written as Quantum ESPRESSO input:
```
&SYSTEM
  ibrav = 0, nat = 49, ntyp = 3
/
ATOMIC_SPECIES
Li 6.94 Li.upf
Sb 121.76 Sb.upf
S 32.06 S.upf
CELL_PARAMETERS angstrom
-4.842 4.842 9.605
4.842 -4.842 9.605
4.842 4.842 -9.605
ATOMIC_POSITIONS crystal
Li 0.051 0.349 0.150
Li 0.062 0.346 0.891
Li 0.070 0.570 0.500
Li 0.099 0.949 0.298
Li 0.140 0.278 0.418
Li 0.171 0.062 0.716
Li 0.199 0.901 0.850
Li 0.231 0.510 0.884
Li 0.250 0.750 0.500
Li 0.278 0.860 0.137
Li 0.346 0.455 0.284
Li 0.347 0.231 0.721
Li 0.349 0.199 0.298
Li 0.374 0.653 0.884
Li 0.430 0.930 0.500
Li 0.455 0.171 0.109
Li 0.490 0.374 0.721
Li 0.510 0.626 0.279
Li 0.545 0.829 0.891
Li 0.570 0.070 0.500
Li 0.626 0.347 0.116
Li 0.651 0.801 0.702
Li 0.653 0.769 0.279
Li 0.654 0.545 0.716
Li 0.722 0.140 0.863
Li 0.750 0.250 0.500
Li 0.769 0.490 0.116
Li 0.801 0.099 0.150
Li 0.829 0.938 0.284
Li 0.860 0.722 0.582
Li 0.901 0.051 0.702
Li 0.930 0.430 0.500
Li 0.938 0.654 0.109
Li 0.949 0.651 0.850
Sb 0.031 0.218 0.563
Sb 0.218 0.656 0.187
Sb 0.344 0.531 0.563
Sb 0.469 0.031 0.813
Sb 0.531 0.969 0.187
Sb 0.656 0.469 0.437
Sb 0.782 0.344 0.813
Sb 0.969 0.782 0.437
S 0.107 0.684 0.791
S 0.183 0.183 0.000
S 0.316 0.107 0.423
S 0.500 0.500 0.000
S 0.684 0.893 0.577
S 0.817 0.817 0.000
S 0.893 0.316 0.209
```

[2]
Below is a relaxed structure of ZrCr5P3, with properties calculated at the GGA-PBE level. Values from VASP.

Output
Magnetization: 0.30 μB per atom
E_tot: -0.6398 Ry per atom
Energy of formation: -0.59 eV/atom
Symmetry: No. 11

Cell and atoms, written as Quantum ESPRESSO input:
```
&SYSTEM
  ibrav = 0, nat = 18, ntyp = 3
/
ATOMIC_SPECIES
Zr 91.22 Zr.upf
Cr 52.00 Cr.upf
P 30.97 P.upf
CELL_PARAMETERS angstrom
6.888 0.000 0.000
0.000 3.654 0.000
-1.659 0.000 9.206
ATOMIC_POSITIONS crystal
Zr 0.192 0.250 0.279
Zr 0.808 0.750 0.721
Cr 0.085 0.250 0.584
Cr 0.135 0.750 0.006
Cr 0.314 0.750 0.777
Cr 0.373 0.250 0.009
Cr 0.459 0.250 0.575
Cr 0.541 0.750 0.425
Cr 0.627 0.750 0.991
Cr 0.686 0.250 0.223
Cr 0.865 0.250 0.994
Cr 0.915 0.750 0.416
P 0.092 0.250 0.832
P 0.247 0.750 0.513
P 0.437 0.750 0.176
P 0.563 0.250 0.824
P 0.753 0.250 0.487
P 0.908 0.750 0.168
```

[3]
Below is a relaxed structure of NaB11H12C, with properties calculated at the GGA-PBE level. Values from VASP.

Output
Magnetization: 0.00 μB per atom
E_tot: -0.3853 Ry per atom
Energy of formation: -0.25 eV/atom
Symmetry: No. 29

Cell and atoms, written as Quantum ESPRESSO input:
```
&SYSTEM
  ibrav = 0, nat = 100, ntyp = 4
/
ATOMIC_SPECIES
Na 22.99 Na.upf
B 10.81 B.upf
H 1.01 H.upf
C 12.01 C.upf
CELL_PARAMETERS angstrom
10.090 0.000 0.000
0.000 9.772 0.000
0.000 0.000 10.398
ATOMIC_POSITIONS crystal
Na 0.129 0.134 0.000
Na 0.371 0.134 0.500
Na 0.629 0.866 0.000
Na 0.871 0.866 0.500
B 0.028 0.416 0.399
B 0.034 0.916 0.832
B 0.038 0.289 0.520
B 0.043 0.788 0.712
B 0.075 0.342 0.250
B 0.080 0.841 0.981
B 0.090 0.134 0.445
B 0.113 0.167 0.278
B 0.119 0.667 0.953
B 0.157 0.294 0.393
B 0.163 0.793 0.837
B 0.337 0.793 0.337
B 0.343 0.294 0.893
B 0.381 0.667 0.453
B 0.387 0.167 0.778
B 0.410 0.134 0.945
B 0.420 0.841 0.481
B 0.425 0.342 0.750
B 0.457 0.788 0.212
B 0.462 0.289 0.020
B 0.466 0.916 0.332
B 0.472 0.416 0.899
B 0.528 0.584 0.399
B 0.534 0.084 0.832
B 0.538 0.711 0.520
B 0.543 0.212 0.712
B 0.575 0.658 0.250
B 0.580 0.159 0.981
B 0.590 0.866 0.445
B 0.613 0.833 0.278
B 0.619 0.333 0.953
B 0.657 0.706 0.393
B 0.663 0.207 0.837
B 0.837 0.207 0.337
B 0.843 0.706 0.893
B 0.881 0.333 0.453
B 0.887 0.833 0.778
B 0.910 0.866 0.945
B 0.920 0.159 0.481
B 0.925 0.658 0.750
B 0.957 0.212 0.212
B 0.962 0.711 0.020
B 0.966 0.084 0.332
B 0.972 0.584 0.899
H 0.040 0.537 0.414
H 0.055 0.034 0.804
H 0.065 0.317 0.629
H 0.079 0.803 0.604
H 0.119 0.411 0.166
H 0.137 0.902 0.064
H 0.147 0.569 0.742
H 0.154 0.049 0.501
H 0.196 0.108 0.216
H 0.204 0.602 0.003
H 0.224 0.812 0.311
H 0.230 0.328 0.911
H 0.270 0.328 0.411
H 0.276 0.812 0.811
H 0.296 0.602 0.503
H 0.304 0.108 0.716
H 0.346 0.049 0.001
H 0.353 0.569 0.242
H 0.363 0.902 0.564
H 0.381 0.411 0.666
H 0.421 0.803 0.104
H 0.435 0.317 0.129
H 0.445 0.034 0.304
H 0.460 0.537 0.914
H 0.540 0.463 0.414
H 0.555 0.966 0.804
H 0.565 0.683 0.629
H 0.579 0.197 0.604
H 0.619 0.589 0.166
H 0.637 0.098 0.064
H 0.647 0.431 0.742
H 0.654 0.951 0.501
H 0.696 0.892 0.216
H 0.704 0.398 0.003
H 0.724 0.188 0.311
H 0.730 0.672 0.911
H 0.770 0.672 0.411
H 0.776 0.188 0.811
H 0.796 0.398 0.503
H 0.804 0.892 0.716
H 0.846 0.951 0.001
H 0.853 0.431 0.242
H 0.863 0.098 0.564
H 0.881 0.589 0.666
H 0.921 0.197 0.104
H 0.935 0.683 0.129
H 0.945 0.966 0.304
H 0.960 0.463 0.914
C 0.087 0.644 0.793
C 0.413 0.644 0.293
C 0.587 0.356 0.793
C 0.913 0.356 0.293
```

[4]
Below is a relaxed structure of Pr4Pt, with properties calculated at the GGA-PBE level. Values from VASP.

Output
Magnetization: 0.00 μB per atom
E_tot: -0.3723 Ry per atom
Energy of formation: -0.03 eV/atom
Symmetry: No. 227

Cell and atoms, written as Quantum ESPRESSO input:
```
&SYSTEM
  ibrav = 0, nat = 10, ntyp = 2
/
ATOMIC_SPECIES
Pr 140.91 Pr.upf
Pt 195.08 Pt.upf
CELL_PARAMETERS angstrom
0.000 5.702 5.702
5.702 0.000 5.702
5.702 5.702 0.000
ATOMIC_POSITIONS crystal
Pr 0.207 0.764 0.764
Pr 0.236 0.236 0.236
Pr 0.236 0.236 0.793
Pr 0.236 0.793 0.236
Pr 0.764 0.207 0.764
Pr 0.764 0.764 0.207
Pr 0.764 0.764 0.764
Pr 0.793 0.236 0.236
Pt 0.375 0.375 0.375
Pt 0.625 0.625 0.625
```

[5]
Below is a relaxed structure of Tl2SnSe3, with properties calculated at the GGA-PBE level. Values from VASP.

Output
E_tot: -0.2649 Ry per atom
Energy of formation: -0.64 eV/atom
Energy with MP2020 corrections: -3.840 eV per atom
Symmetry: No. 62

Cell and atoms, written as Quantum ESPRESSO input:
```
&SYSTEM
  ibrav = 0, nat = 48, ntyp = 3
/
ATOMIC_SPECIES
Tl 204.38 Tl.upf
Sn 118.71 Sn.upf
Se 78.96 Se.upf
CELL_PARAMETERS angstrom
8.282 0.000 0.000
0.000 21.659 0.000
0.000 0.000 8.478
ATOMIC_POSITIONS crystal
Tl 0.176 0.167 0.013
Tl 0.176 0.333 0.013
Tl 0.235 0.005 0.948
Tl 0.235 0.495 0.948
Tl 0.265 0.505 0.448
Tl 0.265 0.995 0.448
Tl 0.324 0.667 0.513
Tl 0.324 0.833 0.513
Tl 0.676 0.167 0.487
Tl 0.676 0.333 0.487
Tl 0.735 0.005 0.552
Tl 0.735 0.495 0.552
Tl 0.765 0.505 0.052
Tl 0.765 0.995 0.052
Tl 0.824 0.667 0.987
Tl 0.824 0.833 0.987
Sn 0.176 0.167 0.510
Sn 0.176 0.333 0.510
Sn 0.324 0.667 0.010
Sn 0.324 0.833 0.010
Sn 0.676 0.167 0.990
Sn 0.676 0.333 0.990
Sn 0.824 0.667 0.490
Sn 0.824 0.833 0.490
Se 0.009 0.250 0.665
Se 0.014 0.093 0.336
Se 0.014 0.407 0.336
Se 0.127 0.607 0.181
Se 0.127 0.893 0.181
Se 0.166 0.750 0.840
Se 0.334 0.250 0.340
Se 0.373 0.107 0.681
Se 0.373 0.393 0.681
Se 0.486 0.593 0.836
Se 0.486 0.907 0.836
Se 0.491 0.750 0.165
Se 0.509 0.250 0.835
Se 0.514 0.093 0.164
Se 0.514 0.407 0.164
Se 0.627 0.607 0.319
Se 0.627 0.893 0.319
Se 0.666 0.750 0.660
Se 0.834 0.250 0.160
Se 0.873 0.107 0.819
Se 0.873 0.393 0.819
Se 0.986 0.593 0.664
Se 0.986 0.907 0.664
Se 0.991 0.750 0.335
```

[6]
Below is a relaxed structure of Cu4P3O12, with properties calculated at the GGA-PBE level. Values from VASP.

Output
Magnetization: 0.16 μB per atom
E_tot: -0.4598 Ry per atom
Energy of formation: -1.85 eV/atom
Energy relative to the lowest polymorph listed for this composition: 9 meV per atom
Energy with MP2020 corrections: -6.690 eV per atom
Symmetry: No. 2

Cell and atoms, written as Quantum ESPRESSO input:
```
&SYSTEM
  ibrav = 0, nat = 38, ntyp = 3
/
ATOMIC_SPECIES
Cu 63.55 Cu.upf
P 30.97 P.upf
O 16.00 O.upf
CELL_PARAMETERS angstrom
7.400 0.000 0.000
-0.313 7.866 0.000
-3.544 -3.345 8.215
ATOMIC_POSITIONS crystal
Cu 0.015 0.294 0.458
Cu 0.263 0.398 0.902
Cu 0.264 0.024 0.918
Cu 0.303 0.115 0.294
Cu 0.697 0.885 0.706
Cu 0.736 0.976 0.082
Cu 0.737 0.602 0.098
Cu 0.985 0.706 0.542
P 0.020 0.750 0.939
P 0.302 0.045 0.608
P 0.392 0.639 0.745
P 0.608 0.361 0.255
P 0.698 0.955 0.392
P 0.980 0.250 0.061
O 0.073 0.229 0.230
O 0.095 0.573 0.924
O 0.137 0.239 0.984
O 0.171 0.557 0.620
O 0.172 0.853 0.515
O 0.191 0.924 0.051
O 0.238 0.167 0.503
O 0.271 0.142 0.770
O 0.415 0.840 0.863
O 0.448 0.513 0.845
O 0.470 0.352 0.339
O 0.476 0.955 0.348
O 0.524 0.045 0.652
O 0.530 0.648 0.661
O 0.552 0.487 0.155
O 0.585 0.160 0.137
O 0.729 0.858 0.230
O 0.762 0.833 0.497
O 0.809 0.076 0.949
O 0.828 0.147 0.485
O 0.829 0.443 0.380
O 0.863 0.761 0.016
O 0.905 0.427 0.076
O 0.927 0.771 0.770
```

[7]
Below is a relaxed structure of K3AlP2, with properties calculated at the GGA-PBE level. Values from VASP.

Output
E_tot: -0.2546 Ry per atom
Energy of formation: -0.48 eV/atom
Symmetry: No. 2

Cell and atoms, written as Quantum ESPRESSO input:
```
&SYSTEM
  ibrav = 0, nat = 48, ntyp = 3
/
ATOMIC_SPECIES
K 39.10 K.upf
Al 26.98 Al.upf
P 30.97 P.upf
CELL_PARAMETERS angstrom
8.946 0.000 0.000
3.717 11.355 0.000
4.391 3.381 14.263
ATOMIC_POSITIONS crystal
K 0.009 0.374 0.084
K 0.014 0.427 0.662
K 0.033 0.082 0.245
K 0.156 0.084 0.807
K 0.185 0.916 0.476
K 0.274 0.255 0.882
K 0.311 0.763 0.181
K 0.319 0.399 0.192
K 0.321 0.620 0.477
K 0.340 0.581 0.742
K 0.468 0.904 0.652
K 0.484 0.108 0.084
K 0.516 0.892 0.916
K 0.532 0.096 0.348
K 0.660 0.419 0.258
K 0.679 0.380 0.523
K 0.681 0.601 0.808
K 0.689 0.237 0.819
K 0.726 0.745 0.118
K 0.815 0.084 0.524
K 0.844 0.916 0.193
K 0.967 0.918 0.755
K 0.986 0.573 0.338
K 0.991 0.626 0.916
Al 0.094 0.859 0.991
Al 0.140 0.267 0.446
Al 0.346 0.613 0.990
Al 0.349 0.222 0.574
Al 0.651 0.778 0.426
Al 0.654 0.387 0.010
Al 0.860 0.733 0.554
Al 0.906 0.141 0.009
P 0.014 0.706 0.656
P 0.095 0.664 0.104
P 0.139 0.129 0.590
P 0.169 0.015 0.038
P 0.282 0.782 0.859
P 0.342 0.366 0.429
P 0.405 0.412 0.960
P 0.498 0.823 0.319
P 0.502 0.177 0.681
P 0.595 0.588 0.040
P 0.658 0.634 0.571
P 0.718 0.218 0.141
P 0.831 0.985 0.962
P 0.861 0.871 0.410
P 0.905 0.336 0.896
P 0.986 0.294 0.344
```

[8]
Below is a relaxed structure of Mg3ZnO4, with properties calculated at the GGA-PBE level. Values from VASP.

Output
Magnetization: 0.00 μB per atom
E_tot: -0.4111 Ry per atom
Energy of formation: -2.70 eV/atom
Energy relative to the lowest polymorph listed for this composition: 1 meV per atom
Energy with MP2020 corrections: -5.936 eV per atom
Symmetry: No. 65

Cell and atoms, written as Quantum ESPRESSO input:
```
&SYSTEM
  ibrav = 0, nat = 8, ntyp = 3
/
ATOMIC_SPECIES
Mg 24.30 Mg.upf
Zn 65.41 Zn.upf
O 16.00 O.upf
CELL_PARAMETERS angstrom
3.023 -4.277 0.000
3.023 4.277 0.000
0.000 0.000 3.028
ATOMIC_POSITIONS crystal
Mg 0.000 0.000 0.000
Mg 0.000 0.500 0.500
Mg 0.500 0.000 0.500
Zn 0.500 0.500 0.000
O 0.244 0.244 0.500
O 0.247 0.753 0.000
O 0.753 0.247 0.000
O 0.756 0.756 0.500
```

[9]
Below is a relaxed structure of Ba2LaI7, with properties calculated at the GGA-PBE level. Values from VASP.

Output
Magnetization: 0.00 μB per atom
E_tot: -0.2640 Ry per atom
Energy of formation: -1.91 eV/atom
Energy relative to the lowest polymorph listed for this composition: 25 meV per atom
Energy with MP2020 corrections: -3.857 eV per atom
Symmetry: No. 4

Cell and atoms, written as Quantum ESPRESSO input:
```
&SYSTEM
  ibrav = 0, nat = 40, ntyp = 3
/
ATOMIC_SPECIES
Ba 137.33 Ba.upf
La 138.91 La.upf
I 126.90 I.upf
CELL_PARAMETERS angstrom
8.436 0.000 0.000
0.000 15.439 0.000
-2.575 0.000 14.751
ATOMIC_POSITIONS crystal
Ba 0.179 0.000 0.259
Ba 0.244 0.770 0.861
Ba 0.258 0.427 0.362
Ba 0.285 0.183 0.749
Ba 0.715 0.683 0.251
Ba 0.742 0.927 0.638
Ba 0.756 0.270 0.139
Ba 0.821 0.500 0.741
La 0.306 0.711 0.452
La 0.321 0.483 0.950
La 0.679 0.983 0.050
La 0.694 0.211 0.548
I 0.012 0.597 0.957
I 0.021 0.844 0.393
I 0.036 0.578 0.474
I 0.081 0.329 0.879
I 0.114 0.977 0.783
I 0.118 0.223 0.289
I 0.286 0.560 0.752
I 0.294 0.638 0.250
I 0.382 0.876 0.101
I 0.383 0.797 0.642
I 0.390 0.399 0.142
I 0.428 0.063 0.511
I 0.450 0.346 0.612
I 0.454 0.146 0.990
I 0.546 0.646 0.010
I 0.550 0.846 0.388
I 0.572 0.563 0.489
I 0.610 0.899 0.858
I 0.617 0.297 0.358
I 0.618 0.376 0.899
I 0.706 0.138 0.750
I 0.714 0.060 0.248
I 0.882 0.723 0.711
I 0.886 0.477 0.217
I 0.919 0.829 0.121
I 0.964 0.078 0.526
I 0.979 0.344 0.607
I 0.988 0.097 0.043
```

[10]
Below is a relaxed structure of BaBiO3, with properties calculated at the GGA-PBE level. Values from VASP.

Output
Magnetization: 0.00 μB per atom
E_tot: -0.4359 Ry per atom
Energy of formation: -2.21 eV/atom
Energy with MP2020 corrections: -6.343 eV per atom
Symmetry: No. 221

Cell and atoms, written as Quantum ESPRESSO input:
```
&SYSTEM
  ibrav = 0, nat = 5, ntyp = 3
/
ATOMIC_SPECIES
Ba 137.33 Ba.upf
Bi 208.98 Bi.upf
O 16.00 O.upf
CELL_PARAMETERS angstrom
4.428 0.000 0.000
0.000 4.428 0.000
0.000 0.000 4.428
ATOMIC_POSITIONS crystal
Ba 0.000 0.000 0.000
Bi 0.500 0.500 0.500
O 0.000 0.500 0.500
O 0.500 0.000 0.500
O 0.500 0.500 0.000
```

What did the second record say?
Below is a relaxed structure of ZrCr5P3, with properties calculated at the GGA-PBE level. Values from VASP.

Output
Magnetization: 0.30 μB per atom
E_tot: -0.6398 Ry per atom
Energy of formation: -0.59 eV/atom
Symmetry: No. 11

Cell and atoms, written as Quantum ESPRESSO input:
```
&SYSTEM
  ibrav = 0, nat = 18, ntyp = 3
/
ATOMIC_SPECIES
Zr 91.22 Zr.upf
Cr 52.00 Cr.upf
P 30.97 P.upf
CELL_PARAMETERS angstrom
6.888 0.000 0.000
0.000 3.654 0.000
-1.659 0.000 9.206
ATOMIC_POSITIONS crystal
Zr 0.192 0.250 0.279
Zr 0.808 0.750 0.721
Cr 0.085 0.250 0.584
Cr 0.135 0.750 0.006
Cr 0.314 0.750 0.777
Cr 0.373 0.250 0.009
Cr 0.459 0.250 0.575
Cr 0.541 0.750 0.425
Cr 0.627 0.750 0.991
Cr 0.686 0.250 0.223
Cr 0.865 0.250 0.994
Cr 0.915 0.750 0.416
P 0.092 0.250 0.832
P 0.247 0.750 0.513
P 0.437 0.750 0.176
P 0.563 0.250 0.824
P 0.753 0.250 0.487
P 0.908 0.750 0.168
```

Question: Which formula does entry 10 have?
Answer: BaBiO3

Question: Number 3 is which compound?
Answer: NaB11H12C